[1]
A relaxed Mg6NbW crystal, computed with GGA-PBE.

- Formation energy: 0.272 eV per atom

abc: 4.8089 6.0415 10.9477
angles: 90.00 90.00 90.00
Fractional coordinates of all 16 atoms:
Mg 0.5000 0.2572 0.4236
Mg 0.0000 0.5000 0.8320
Mg 0.5000 0.7428 0.4236
Mg 0.5000 0.0000 0.1694
Mg 0.0000 0.2596 0.0764
Mg 0.0000 0.7404 0.0764
Mg 0.5000 0.7572 0.9236
Mg 0.0000 0.7596 0.5764
Mg 0.0000 0.0000 0.3320
Mg 0.0000 0.2404 0.5764
Mg 0.5000 0.5000 0.6694
Mg 0.5000 0.2428 0.9236
W 0.5000 0.5000 0.1886
W 0.5000 0.0000 0.6886
Nb 0.0000 0.0000 0.8099
Nb 0.0000 0.5000 0.3099

***

[2]
A relaxed Ta2C crystal, computed with GGA-PBE.

- Formation energy: -0.597 eV per atom

abc: 3.1251 3.1251 4.9708
angles: 90.00 90.00 120.00
Fractional coordinates of all 3 atoms:
Ta 0.3333 0.6667 0.7476
Ta 0.6667 0.3333 0.2524
C 0.0000 0.0000 0.0000

***

[3]
A relaxed LaCePd6 crystal, computed with GGA-PBE.

- Formation energy: -0.837 eV per atom

abc: 4.2066 4.2066 8.3828
angles: 90.00 90.00 90.00
Fractional coordinates of all 8 atoms:
Pd 0.5000 0.5000 0.5000
Pd 0.5000 0.0000 0.2416
Pd 0.5000 0.0000 0.7584
Pd 0.0000 0.5000 0.2416
Pd 0.5000 0.5000 0.0000
Pd 0.0000 0.5000 0.7584
La 0.0000 0.0000 0.5000
Ce 0.0000 0.0000 0.0000

***

[4]
A relaxed NiPRh crystal, computed with GGA-PBE.

- Formation energy: -0.649 eV per atom

abc: 3.5121 3.5121 5.9040
angles: 90.00 90.00 90.00
Fractional coordinates of all 6 atoms:
Rh 0.5000 0.0000 0.6331
Rh 0.0000 0.5000 0.3669
P 0.0000 0.5000 0.7526
P 0.5000 0.0000 0.2474
Ni 0.0000 0.0000 0.0000
Ni 0.5000 0.5000 0.0000

***

[5]
A relaxed ErN crystal, computed with GGA-PBE.

- Formation energy: -1.957 eV per atom

abc: 3.4281 3.4281 3.4281
angles: 60.00 60.00 60.00
Fractional coordinates of all 2 atoms:
Er 0.0000 0.0000 0.0000
N 0.5000 0.5000 0.5000

***

[6]
A relaxed Sr3Tl2O6 crystal, computed with GGA-PBE.

- Formation energy: -2.226 eV per atom

abc: 3.5286 12.0228 17.2329
angles: 90.00 90.00 90.00
Fractional coordinates of all 44 atoms:
O 0.0000 0.2130 0.9344
O 0.5000 0.4728 0.8303
O 0.0000 0.5613 0.3462
O 0.5000 0.5272 0.1697
O 0.5000 0.5000 0.5000
O 0.0000 0.4387 0.6538
O 0.5000 0.2870 0.0965
O 0.5000 0.9728 0.6697
O 0.5000 0.2130 0.5965
O 0.5000 0.7130 0.9035
O 0.0000 0.3138 0.2613
O 0.0000 0.1862 0.7613
O 0.5000 0.0000 0.0000
O 0.5000 0.0272 0.3303
O 0.0000 0.9387 0.8462
O 0.0000 0.7870 0.0656
O 0.0000 0.8138 0.2387
O 0.0000 0.6862 0.7387
O 0.0000 0.2870 0.4344
O 0.0000 0.0613 0.1538
O 0.0000 0.5000 0.0000
O 0.5000 0.7870 0.4035
O 0.0000 0.0000 0.5000
O 0.0000 0.7130 0.5656
Sr 0.5000 0.6329 0.0410
Sr 0.5000 0.4037 0.3538
Sr 0.5000 0.0963 0.8538
Sr 0.5000 0.9037 0.1462
Sr 0.5000 0.8253 0.7744
Sr 0.5000 0.3253 0.7256
Sr 0.5000 0.1747 0.2256
Sr 0.5000 0.1329 0.4590
Sr 0.5000 0.3671 0.9590
Sr 0.5000 0.6747 0.2744
Sr 0.5000 0.5963 0.6462
Sr 0.5000 0.8671 0.5410
Tl 0.0000 0.3681 0.5423
Tl 0.0000 0.0911 0.6473
Tl 0.0000 0.8681 0.9577
Tl 0.0000 0.4089 0.1473
Tl 0.0000 0.9089 0.3527
Tl 0.0000 0.1319 0.0423
Tl 0.0000 0.5911 0.8527
Tl 0.0000 0.6319 0.4577